[1]
A plane-wave DFT calculation with GGA+U was carried out for a relaxed structure of YReW2O8.

Calculated values
Its raw total energy is -8.024 eV per atom. Its polymorph energy (0 for the lowest one) is 133 meV/atom. The calculation puts the formation energy from the elements at -2187 meV per atom. The MP2020-corrected energy comes out at -9.222 eV/atom. The volume comes out at 13.43 Å³ per atom. The density is 7.94 Mg/m³.

Structure (CIF):
```
data_YReW2O8
_cell_length_a 5.220
_cell_length_b 5.834
_cell_length_c 6.199
_cell_angle_alpha 66.97
_cell_angle_beta 68.59
_cell_angle_gamma 86.02
_space_group_name_H-M_alt 'P -1'
_space_group_IT_number 2
loop_
_space_group_symop_operation_xyz
'x,y,z'
'-x,-y,-z'
loop_
_atom_site_label
_atom_site_fract_x
_atom_site_fract_y
_atom_site_fract_z
_atom_site_occupancy
Y1 0.000 0.000 0.000 1
Re1 0.500 0.500 0.000 1
W1 0.238 0.662 0.517 1
O1 0.165 0.481 0.298 1
O2 0.205 0.959 0.275 1
O3 0.271 0.729 0.802 1
O4 0.341 0.307 0.687 1
```

[2]
A plane-wave DFT calculation with GGA+U was carried out for a relaxed structure of Fe5O7F3.

Calculated values
Its raw total energy is -6.077 eV per atom. Its polymorph energy (0 for the lowest one) is 25 meV/atom. The calculation puts the formation energy from the elements at -1727 meV per atom. The MP2020-corrected energy comes out at -7.242 eV/atom. The volume comes out at 11.12 Å³ per atom. The density is 4.46 Mg/m³.

Structure (CIF):
```
data_Fe5O7F3
_cell_length_a 4.681
_cell_length_b 15.209
_cell_length_c 4.687
_cell_angle_alpha 90.00
_cell_angle_beta 91.67
_cell_angle_gamma 90.00
_space_group_name_H-M_alt 'P 1 m 1'
_space_group_IT_number 6
loop_
_space_group_symop_operation_xyz
'x,y,z'
'x,-y,z'
loop_
_atom_site_label
_atom_site_fract_x
_atom_site_fract_y
_atom_site_fract_z
_atom_site_occupancy
Fe1 0.000 0.000 0.000 1
Fe2 0.003 0.405 0.042 1
Fe3 0.464 0.099 0.536 1
Fe4 0.469 0.500 0.505 1
Fe5 0.509 0.293 0.477 1
Fe6 0.985 0.201 0.009 1
O1 0.166 0.102 0.831 1
O2 0.191 0.500 0.824 1
O3 0.284 0.000 0.330 1
O4 0.289 0.196 0.317 1
O5 0.311 0.396 0.326 1
O6 0.670 0.000 0.715 1
O7 0.681 0.198 0.704 1
O8 0.797 0.500 0.225 1
O9 0.811 0.298 0.193 1
F1 0.196 0.301 0.812 1
F2 0.696 0.397 0.713 1
F3 0.782 0.098 0.213 1
```

[3]
A plane-wave DFT calculation with GGA+U was carried out for a relaxed structure of MgTi3Fe2CoP6O24.

Calculated values
Its raw total energy is -7.446 eV per atom. Its polymorph energy (0 for the lowest one) is 58 meV/atom. The calculation puts the formation energy from the elements at -2637 meV per atom. The MP2020-corrected energy comes out at -8.058 eV/atom. The volume comes out at 12.73 Å³ per atom. The density is 3.20 Mg/m³.

Structure (CIF):
```
data_MgTi3Fe2CoP6O24
_cell_length_a 8.704
_cell_length_b 8.712
_cell_length_c 8.720
_cell_angle_alpha 60.28
_cell_angle_beta 60.30
_cell_angle_gamma 60.41
_space_group_name_H-M_alt 'P 1'
_space_group_IT_number 1
loop_
_space_group_symop_operation_xyz
'x,y,z'
loop_
_atom_site_label
_atom_site_fract_x
_atom_site_fract_y
_atom_site_fract_z
_atom_site_occupancy
Mg1 0.000 0.000 0.000 1
Ti1 0.119 0.123 0.123 1
Ti2 0.395 0.397 0.399 1
Ti3 0.877 0.880 0.880 1
Fe1 0.254 0.253 0.252 1
Fe2 0.741 0.744 0.748 1
Co1 0.606 0.609 0.608 1
P1 0.004 0.298 0.702 1
P2 0.211 0.789 0.506 1
P3 0.298 0.703 0.006 1
P4 0.503 0.214 0.791 1
P5 0.702 0.005 0.299 1
P6 0.787 0.506 0.214 1
O1 0.007 0.802 0.655 1
O2 0.070 0.237 0.868 1
O3 0.132 0.754 0.947 1
O4 0.168 0.309 0.511 1
O5 0.194 0.986 0.347 1
O6 0.236 0.868 0.073 1
O7 0.260 0.635 0.432 1
O8 0.310 0.512 0.169 1
O9 0.343 0.198 0.989 1
O10 0.351 0.751 0.583 1
O11 0.428 0.264 0.637 1
O12 0.488 0.695 0.851 1
O13 0.511 0.168 0.311 1
O14 0.581 0.354 0.751 1
O15 0.632 0.431 0.264 1
O16 0.650 0.011 0.807 1
O17 0.693 0.848 0.487 1
O18 0.749 0.581 0.354 1
O19 0.753 0.948 0.131 1
O20 0.799 0.655 0.012 1
O21 0.849 0.487 0.691 1
O22 0.868 0.071 0.237 1
O23 0.946 0.130 0.753 1
O24 0.984 0.347 0.194 1
```